This record from Materials Project describes an optimized crystal structure of NaTmO2. The functional is PBE.

Lattice parameters (Å, degrees): 5.889 5.889 5.889 33.20 33.20 33.20
Positions (direct):
Na  0.000  0.000  0.000
Tm  0.500  0.500  0.500
O  0.236  0.236  0.236
O  0.764  0.764  0.764

Summary:
For the energy of formation from the pure elements, the calculation gives -1241 kJ/mol of formula units. The relative energy among the computed polymorphs comes out at 0.000 eV per atom.